Entry 1:
Density functional theory data (PBE) for GdFe4B after structural relaxation.

E_form in kJ per mole of atoms: -19.1

The structure in POSCAR format:
```
GdFe4B
1.0
-2.5972 -4.4864 0.0000
-2.5972 4.4864 0.0000
0.0000 0.0000 -6.9721
Fe B Gd
8 2 2
Cartesian
-1.2986 -2.2432 -2.0060 Fe
-2.5972 -2.9908 0.0000 Fe
-2.5972 2.9908 0.0000 Fe
0.0000 0.0000 -4.9659 Fe
0.0000 0.0000 -2.0063 Fe
-1.2986 2.2432 -4.9662 Fe
-1.2986 2.2432 -2.0060 Fe
-1.2986 -2.2432 -4.9662 Fe
-2.5972 2.9900 -3.4861 B
-2.5972 -2.9900 -3.4861 B
-2.5972 0.0000 -3.4861 Gd
-2.5972 0.0000 0.0000 Gd
```



Entry 2:
Density functional theory data (PBE) for LiIn2CuTe4 after structural relaxation.

M_tot in Bohr magnetons per cell: 0.00
E_form in kJ per mole of atoms: -63.2

The structure in POSCAR format:
```
LiIn2CuTe4
1.0
6.2414 -2.3300 4.0641
-2.1945 -5.2655 5.3254
-1.3176 0.4880 -7.6764
In Cu Te Li
2 1 4 1
Cartesian
3.4737 -2.8199 0.5412 In
2.0235 -3.7978 4.6947 In
-0.7443 -4.2876 1.1719 Cu
-0.0428 -0.5807 -2.6821 Te
1.7272 -4.5655 1.9706 Te
4.7364 -4.1313 5.4864 Te
-0.9620 -4.9376 -1.3487 Te
0.0000 0.0000 0.0000 Li
```



Entry 3:
Density functional theory data (PBE) for BiC2O5 after structural relaxation.

M_tot in Bohr magnetons per cell: 0.00
E_form in kJ per mole of atoms: -138.1

The structure in POSCAR format:
```
BiC2O5
1.0
5.9016 0.0000 0.0000
0.0000 6.0898 0.0000
0.0000 0.0000 11.5119
C O Bi
8 20 4
Cartesian
2.5144 5.4773 5.4785 C
2.5144 5.4773 0.2774 C
0.4364 2.4324 0.2774 C
5.4652 3.6574 6.0333 C
5.4652 3.6574 11.2345 C
3.3872 0.6125 6.0333 C
3.3872 0.6125 11.2345 C
0.4364 2.4324 5.4785 C
0.8142 2.4986 4.2763 O
3.7650 0.5463 7.2356 O
5.0875 3.5912 7.2356 O
3.7650 0.5463 10.0322 O
2.1366 5.5435 1.4797 O
5.0875 3.5912 10.0322 O
2.1366 5.5435 4.2763 O
5.2252 4.5933 0.5267 O
3.6272 1.5484 0.5267 O
2.0500 2.8144 8.6339 O
0.8142 2.4986 1.4797 O
2.2744 4.5414 6.2827 O
2.2744 4.5414 10.9851 O
0.6764 1.4965 10.9851 O
0.9008 5.8593 8.6339 O
5.2252 4.5933 5.2292 O
0.6764 1.4965 6.2827 O
3.6272 1.5484 5.2292 O
5.0009 0.2305 2.8780 O
3.8516 3.2754 2.8780 O
0.2393 1.7880 8.6339 Bi
5.6623 4.3018 2.8780 Bi
2.7115 4.8329 8.6339 Bi
3.1901 1.2569 2.8780 Bi
```



Entry 4:
Density functional theory data (PBE) for AlCr4CuS8 after structural relaxation.

M_tot in Bohr magnetons per cell: 12.00
E_form in kJ per mole of atoms: -101.2

The structure in POSCAR format:
```
AlCr4CuS8
1.0
-0.2094 2.3665 6.6455
-2.4320 6.4836 1.3619
-6.2059 0.8290 3.2566
Cu Cr Al S
1 4 1 8
Cartesian
-6.6355 7.2594 8.4480 Cu
-4.2664 1.6015 3.0427 Cr
-1.0741 1.1750 1.3674 Cr
-2.3251 4.5102 2.0680 Cr
-1.1818 2.3924 4.7859 Cr
-4.4237 4.8396 5.6320 Al
-3.2479 3.5533 4.1351 S
-6.5178 5.0858 9.2258 S
-6.5468 3.9940 5.8662 S
-4.5407 6.9998 4.8591 S
-7.7066 7.2879 6.3998 S
-3.3593 4.8113 7.6676 S
-4.4993 8.1102 8.2123 S
-7.8186 8.5536 9.9542 S
```



Entry 5:
Density functional theory data (PBE) for Zn2SnO4 after structural relaxation.

Offset from the most stable computed form in meV per atom: 99
M_tot in Bohr magnetons per cell: 0.00
E_form in kJ per mole of atoms: -174.6

The structure in POSCAR format:
```
Zn2SnO4
1.0
0.0000 4.3839 4.3839
4.3839 0.0000 4.3839
4.3839 4.3839 0.0000
Zn O Sn
4 8 2
Cartesian
1.0960 3.2879 3.2879 Zn
1.0960 1.0960 1.0960 Zn
3.2879 1.0960 3.2879 Zn
3.2879 3.2879 1.0960 Zn
7.7323 5.4193 5.4193 O
5.5404 3.2274 5.5404 O
3.2274 3.2274 3.2274 O
7.7323 7.7323 7.7323 O
5.4193 5.4193 7.7323 O
5.4193 7.7323 5.4193 O
3.2274 5.5404 5.5404 O
5.5404 5.5404 3.2274 O
4.3839 4.3839 4.3839 Sn
6.5758 6.5758 6.5758 Sn
```



Entry 6:
Density functional theory data (PBE) for K2Na2Pr2MgNb2O10 after structural relaxation.

Offset from the most stable computed form in meV per atom: 22
M_tot in Bohr magnetons per cell: 0.86
E_form in kJ per mole of atoms: -256.7

The structure in POSCAR format:
```
K2Na2Pr2MgNb2O10
1.0
-3.4530 4.4765 -1.3936
-4.6124 -3.2112 1.1135
0.1415 2.8557 8.8218
Na O Pr Nb Mg K
2 10 2 2 1 2
Cartesian
-6.0156 1.6234 1.8735 Na
-1.9087 2.4887 6.6409 Na
-4.0539 2.6107 5.6266 O
-2.2523 -0.5330 3.4033 O
-5.5988 4.6136 5.0031 O
-0.0932 0.9702 2.8821 O
-3.8467 1.5340 2.7598 O
-1.6876 3.0372 2.2386 O
-5.9144 3.6648 8.1799 O
-2.0075 0.4939 0.4786 O
-6.3132 1.0377 6.1721 O
-7.8582 3.0407 5.5485 O
-4.2496 0.1822 5.0325 Pr
-3.6782 3.8594 3.2642 Pr
-1.9791 1.0674 2.2502 Nb
-5.9434 3.0813 6.3773 Nb
-3.6363 4.7032 5.8708 Mg
-4.3219 -1.2768 0.5253 K
-3.7308 2.7971 -0.0177 K
```



Entry 7:
Density functional theory data (PBE) for EuBrO after structural relaxation.

E_form in kJ per mole of atoms: -246.2

The structure in POSCAR format:
```
EuBrO
1.0
3.9582 0.0000 0.0000
0.0000 3.9582 0.0000
0.0000 0.0000 8.3598
O Eu Br
2 2 2
Cartesian
2.9686 0.9895 0.0000 O
0.9895 2.9686 0.0000 O
2.9686 2.9686 7.1452 Eu
0.9895 0.9895 1.2146 Eu
0.9895 0.9895 5.5289 Br
2.9686 2.9686 2.8309 Br
```



Entry 8:
Density functional theory data (PBE) for Y5Ga3 after structural relaxation.

Offset from the most stable computed form in meV per atom: 18
E_form in kJ per mole of atoms: -48.8

The structure in POSCAR format:
```
Y5Ga3
1.0
-7.2986 0.2614 -4.6356
3.1226 -7.5923 2.7264
-3.5012 0.5507 5.5435
Y Ga
10 6
Cartesian
-4.0051 -5.3566 -0.0450 Y
-5.5755 -2.0812 0.5901 Y
-8.0960 0.6089 0.6834 Y
-0.3511 -4.9744 0.2724 Y
-2.1017 -4.6991 3.0441 Y
-0.2856 -5.2772 6.2010 Y
-0.0930 -1.7644 2.0689 Y
-3.8249 -2.3565 -2.1816 Y
-2.7038 0.2032 0.2245 Y
-3.6721 -1.4236 3.6793 Y
-5.5103 0.5163 2.3256 Ga
-1.3918 -2.5875 5.2351 Ga
-5.1515 -4.0207 3.0029 Ga
-5.2895 0.2958 -1.4177 Ga
1.0132 -4.4541 3.0348 Ga
-2.5257 -2.7595 0.6313 Ga
```